No. 1
r²SCAN CaC2, relaxed; space-group type = C2/m; formation energy from the elements = -138 meV/atom; VASP energy = -54.69 eV per cell; relative energy among the computed polymorphs = 0 meV/atom
1.0
3.579 -1.915 0.000
3.579 1.915 0.000
-2.164 0.000 7.093
Ca C
2 4
direct
0.203 0.203 0.246
0.797 0.797 0.754
0.079 0.079 0.564
0.452 0.452 0.058
0.548 0.548 0.942
0.921 0.921 0.436

***

No. 2
r²SCAN CaC2, relaxed; formation energy from the elements = -131 meV/atom; VASP energy = -54.65 eV per cell; relative energy among the computed polymorphs = 7 meV/atom
1.0
-0.314 -2.638 -2.692
4.789 0.324 -0.876
0.920 -3.806 3.622
Ca C
2 4
direct
0.000 0.000 0.000
0.500 0.500 0.500
0.000 0.872 0.501
0.500 0.628 0.001
0.500 0.372 0.999
0.000 0.128 0.499

***

No. 3
r²SCAN CaC2, relaxed; space-group type = I4/mmm; formation energy from the elements = -135 meV/atom; VASP energy = -27.34 eV per cell; relative energy among the computed polymorphs = 3 meV/atom
1.0
-1.934 1.934 3.202
1.934 -1.934 3.202
1.934 1.934 -3.202
Ca C
1 2
direct
0.000 0.000 0.000
0.402 0.402 0.000
0.598 0.598 0.000